# 1
# Na3Hf3InSi3S3O24 (PBE, relaxed)
# ρ ... 3.947 g/cm3
# Corrected total energy (MP2020 scheme) ... -861.4 eV/cell
# ΔE_f ... -64.3 kcal/mol of atoms
# VASP energy ... -7.31 eV per atom
data_Na3Hf3InSi3S3O24
_cell_length_a 9.012
_cell_length_b 9.022
_cell_length_c 22.927
_cell_angle_alpha 89.98
_cell_angle_beta 89.82
_cell_angle_gamma 60.37
_space_group_name_H-M_alt 'P 1'
_space_group_IT_number 1
loop_
_space_group_symop_operation_xyz
'x,y,z'
loop_
_atom_site_label
_atom_site_type_symbol
_atom_site_fract_x
_atom_site_fract_y
_atom_site_fract_z
Na1 Na 0.000 0.000 0.000
Na2 Na 0.007 0.345 0.754
Na3 Na 0.028 0.615 0.232
Na4 Na 0.043 0.957 0.493
Na5 Na 0.339 0.680 0.412
Na6 Na 0.388 0.349 0.663
Na7 Na 0.394 0.332 0.157
Na8 Na 0.659 0.664 0.324
Na9 Na 0.703 0.625 0.826
Hf1 Hf 0.006 0.974 0.850
Hf2 Hf 0.022 0.955 0.642
Hf3 Hf 0.027 0.959 0.141
Hf4 Hf 0.339 0.309 0.018
Hf5 Hf 0.344 0.314 0.514
Hf6 Hf 0.345 0.306 0.310
Hf7 Hf 0.349 0.314 0.807
Hf8 Hf 0.679 0.649 0.474
Hf9 Hf 0.711 0.613 0.978
In1 In 0.041 0.957 0.350
In2 In 0.682 0.629 0.683
In3 In 0.683 0.614 0.176
Si1 Si 0.016 0.678 0.747
Si2 Si 0.053 0.598 0.410
Si3 Si 0.062 0.295 0.910
Si4 Si 0.330 0.670 0.249
Si5 Si 0.354 0.015 0.414
Si6 Si 0.392 0.637 0.579
Si7 Si 0.691 0.328 0.079
Si8 Si 0.728 0.256 0.744
Si9 Si 0.979 0.634 0.085
S1 S 0.024 0.261 0.248
S2 S 0.307 0.971 0.748
S3 S 0.355 0.596 0.913
S4 S 0.399 0.924 0.077
S5 S 0.638 0.011 0.913
S6 S 0.644 0.303 0.413
S7 S 0.687 0.932 0.580
S8 S 0.729 0.976 0.247
S9 S 0.982 0.340 0.580
O1 O 0.002 0.184 0.302
O2 O 0.008 0.800 0.087
O3 O 0.010 0.784 0.805
O4 O 0.027 0.166 0.195
O5 O 0.029 0.789 0.412
O6 O 0.041 0.124 0.909
O7 O 0.044 0.766 0.688
O8 O 0.147 0.491 0.350
O9 O 0.154 0.311 0.849
O10 O 0.158 0.315 0.572
O11 O 0.171 0.465 0.075
O12 O 0.182 0.286 0.964
O13 O 0.183 0.997 0.415
O14 O 0.187 0.484 0.751
O15 O 0.190 0.263 0.249
O16 O 0.190 0.785 0.198
O17 O 0.191 0.496 0.463
O18 O 0.197 0.762 0.909
O19 O 0.203 0.813 0.582
O20 O 0.205 0.989 0.695
O21 O 0.220 0.955 0.801
O22 O 0.226 0.941 0.084
O23 O 0.257 0.754 0.314
O24 O 0.315 0.132 0.751
O25 O 0.335 0.481 0.247
O26 O 0.344 0.506 0.966
O27 O 0.359 0.117 0.471
O28 O 0.368 0.467 0.574
O29 O 0.371 0.099 0.068
O30 O 0.376 0.107 0.355
O31 O 0.378 0.489 0.860
O32 O 0.480 0.817 0.025
O33 O 0.480 0.824 0.746
O34 O 0.490 0.648 0.520
O35 O 0.499 0.859 0.131
O36 O 0.500 0.615 0.638
O37 O 0.504 0.622 0.917
O38 O 0.516 0.655 0.244
O39 O 0.519 0.816 0.416
O40 O 0.532 0.330 0.362
O41 O 0.536 0.287 0.065
O42 O 0.539 0.106 0.574
O43 O 0.542 0.100 0.859
O44 O 0.542 0.266 0.751
O45 O 0.557 0.129 0.249
O46 O 0.558 0.113 0.965
O47 O 0.564 0.284 0.467
O48 O 0.631 0.441 0.138
O49 O 0.648 0.841 0.916
O50 O 0.653 0.465 0.417
O51 O 0.670 0.855 0.634
O52 O 0.705 0.825 0.528
O53 O 0.710 0.434 0.023
O54 O 0.715 0.443 0.747
O55 O 0.719 0.818 0.244
O56 O 0.813 0.156 0.407
O57 O 0.815 0.993 0.193
O58 O 0.816 0.984 0.909
O59 O 0.828 0.966 0.299
O60 O 0.831 0.146 0.686
O61 O 0.846 0.945 0.581
O62 O 0.849 0.158 0.801
O63 O 0.849 0.654 0.743
O64 O 0.856 0.657 0.029
O65 O 0.871 0.442 0.532
O66 O 0.873 0.152 0.086
O67 O 0.873 0.471 0.915
O68 O 0.875 0.597 0.420
O69 O 0.886 0.442 0.247
O70 O 0.900 0.616 0.146
O71 O 0.923 0.429 0.637
O72 O 0.995 0.170 0.581

***

# 2
# Na14Hf4In4Si9S3O48 (PBE, relaxed)
# ρ ... 3.890 g/cm3
# Corrected total energy (MP2020 scheme) ... -1777.9 eV/cell
# ΔE_f ... -63.2 kcal/mol of atoms
# VASP energy ... -6.83 eV per atom
data_Na14Hf4In4Si9S3O48
_cell_length_a 9.242
_cell_length_b 15.983
_cell_length_c 22.645
_cell_angle_alpha 89.71
_cell_angle_beta 89.92
_cell_angle_gamma 89.98
_space_group_name_H-M_alt 'P 1'
_space_group_IT_number 1
loop_
_space_group_symop_operation_xyz
'x,y,z'
loop_
_atom_site_label
_atom_site_type_symbol
_atom_site_fract_x
_atom_site_fract_y
_atom_site_fract_z
Na1 Na 0.000 0.000 0.000
Na2 Na 0.001 0.042 0.326
Na3 Na 0.002 0.693 0.676
Na4 Na 0.021 0.327 0.658
Na5 Na 0.128 0.830 0.153
Na6 Na 0.142 0.193 0.162
Na7 Na 0.147 0.540 0.831
Na8 Na 0.150 0.491 0.502
Na9 Na 0.168 0.183 0.494
Na10 Na 0.191 0.844 0.839
Na11 Na 0.205 0.515 0.167
Na12 Na 0.311 0.668 0.244
Na13 Na 0.314 0.352 0.581
Na14 Na 0.315 0.012 0.412
Na15 Na 0.321 0.345 0.081
Na16 Na 0.323 0.009 0.917
Na17 Na 0.331 0.677 0.756
Na18 Na 0.446 0.521 0.673
Na19 Na 0.463 0.181 0.000
Na20 Na 0.470 0.849 0.331
Na21 Na 0.496 0.494 0.000
Na22 Na 0.501 0.192 0.673
Na23 Na 0.501 0.521 0.326
Na24 Na 0.515 0.168 0.324
Na25 Na 0.523 0.827 0.668
Na26 Na 0.624 0.325 0.161
Na27 Na 0.632 0.667 0.828
Na28 Na 0.645 0.027 0.833
Na29 Na 0.646 0.693 0.168
Na30 Na 0.650 0.998 0.503
Na31 Na 0.671 0.681 0.500
Na32 Na 0.676 0.347 0.839
Na33 Na 0.701 0.024 0.166
Na34 Na 0.817 0.175 0.249
Na35 Na 0.817 0.501 0.412
Na36 Na 0.817 0.853 0.587
Na37 Na 0.831 0.509 0.913
Na38 Na 0.832 0.168 0.751
Na39 Na 0.833 0.856 0.079
Na40 Na 0.943 0.017 0.672
Na41 Na 0.956 0.342 0.336
Na42 Na 0.980 0.683 0.994
Hf1 Hf 0.315 0.018 0.060
Hf2 Hf 0.322 0.352 0.429
Hf3 Hf 0.323 0.014 0.562
Hf4 Hf 0.328 0.023 0.773
Hf5 Hf 0.330 0.344 0.935
Hf6 Hf 0.335 0.678 0.397
Hf7 Hf 0.812 0.849 0.432
Hf8 Hf 0.820 0.522 0.272
Hf9 Hf 0.821 0.176 0.901
Hf10 Hf 0.824 0.513 0.062
Hf11 Hf 0.825 0.513 0.562
Hf12 Hf 0.826 0.853 0.929
In1 In 0.309 0.674 0.097
In2 In 0.314 0.682 0.898
In3 In 0.322 0.348 0.732
In4 In 0.327 0.026 0.264
In5 In 0.334 0.675 0.597
In6 In 0.335 0.348 0.232
In7 In 0.812 0.848 0.734
In8 In 0.822 0.524 0.767
In9 In 0.823 0.176 0.093
In10 In 0.825 0.848 0.230
In11 In 0.833 0.182 0.397
In12 In 0.839 0.173 0.597
Si1 Si 0.027 0.014 0.168
Si2 Si 0.116 0.184 0.002
Si3 Si 0.119 0.515 0.666
Si4 Si 0.172 0.529 0.997
Si5 Si 0.172 0.830 0.999
Si6 Si 0.174 0.498 0.330
Si7 Si 0.178 0.161 0.664
Si8 Si 0.178 0.201 0.330
Si9 Si 0.467 0.831 0.498
Si10 Si 0.474 0.494 0.830
Si11 Si 0.475 0.528 0.499
Si12 Si 0.476 0.165 0.163
Si13 Si 0.478 0.202 0.830
Si14 Si 0.524 0.846 0.829
Si15 Si 0.529 0.516 0.164
Si16 Si 0.618 0.016 0.664
Si17 Si 0.623 0.346 0.330
Si18 Si 0.670 0.996 0.329
Si19 Si 0.672 0.027 0.000
Si20 Si 0.675 0.702 0.331
Si21 Si 0.676 0.665 0.663
Si22 Si 0.680 0.331 0.998
Si23 Si 0.969 0.661 0.165
Si24 Si 0.970 0.700 0.830
Si25 Si 0.972 0.998 0.828
Si26 Si 0.974 0.331 0.499
Si27 Si 0.975 0.027 0.497
S1 S 0.026 0.344 0.831
S2 S 0.030 0.682 0.499
S3 S 0.119 0.843 0.333
S4 S 0.180 0.870 0.665
S5 S 0.467 0.868 0.164
S6 S 0.524 0.182 0.500
S7 S 0.623 0.681 0.000
S8 S 0.679 0.367 0.664
S9 S 0.966 0.371 0.167
O1 O 0.000 0.168 0.948
O2 O 0.001 0.172 0.665
O3 O 0.002 0.189 0.332
O4 O 0.009 0.504 0.608
O5 O 0.015 0.852 0.382
O6 O 0.020 0.865 0.665
O7 O 0.024 0.525 0.726
O8 O 0.033 0.200 0.064
O9 O 0.043 0.831 0.276
O10 O 0.101 0.333 0.774
O11 O 0.109 0.695 0.554
O12 O 0.120 0.020 0.229
O13 O 0.126 0.366 0.167
O14 O 0.130 0.354 0.880
O15 O 0.130 0.671 0.449
O16 O 0.138 0.002 0.111
O17 O 0.146 0.672 0.165
O18 O 0.146 0.689 0.831
O19 O 0.149 0.999 0.824
O20 O 0.152 0.024 0.506
O21 O 0.154 0.338 0.494
O22 O 0.189 0.591 0.941
O23 O 0.195 0.772 0.058
O24 O 0.204 0.257 0.271
O25 O 0.206 0.438 0.388
O26 O 0.210 0.920 0.332
O27 O 0.212 0.603 0.660
O28 O 0.214 0.770 0.341
O29 O 0.215 0.097 0.004
O30 O 0.216 0.099 0.719
O31 O 0.218 0.922 0.612
O32 O 0.222 0.431 0.665
O33 O 0.231 0.260 0.990
O34 O 0.233 0.926 0.006
O35 O 0.240 0.908 0.719
O36 O 0.242 0.115 0.605
O37 O 0.242 0.791 0.940
O38 O 0.243 0.785 0.659
O39 O 0.244 0.437 0.987
O40 O 0.246 0.248 0.389
O41 O 0.246 0.591 0.342
O42 O 0.256 0.108 0.333
O43 O 0.256 0.464 0.271
O44 O 0.258 0.253 0.668
O45 O 0.258 0.562 0.057
O46 O 0.386 0.254 0.163
O47 O 0.391 0.563 0.557
O48 O 0.398 0.459 0.769
O49 O 0.399 0.783 0.440
O50 O 0.402 0.436 0.490
O51 O 0.405 0.111 0.108
O52 O 0.405 0.782 0.159
O53 O 0.408 0.249 0.886
O54 O 0.409 0.901 0.221
O55 O 0.410 0.928 0.501
O56 O 0.412 0.107 0.827
O57 O 0.412 0.589 0.838
O58 O 0.422 0.434 0.165
O59 O 0.422 0.930 0.826
O60 O 0.424 0.253 0.494
O61 O 0.426 0.763 0.839
O62 O 0.427 0.922 0.114
O63 O 0.431 0.104 0.505
O64 O 0.432 0.433 0.885
O65 O 0.437 0.605 0.162
O66 O 0.440 0.593 0.443
O67 O 0.445 0.774 0.557
O68 O 0.458 0.257 0.769
O69 O 0.467 0.109 0.224
O70 O 0.492 0.993 0.328
O71 O 0.495 0.024 0.004
O72 O 0.496 0.694 0.338
O73 O 0.500 0.679 0.661
O74 O 0.501 0.340 0.991
O75 O 0.505 0.365 0.382
O76 O 0.512 0.024 0.721
O77 O 0.513 0.005 0.605
O78 O 0.519 0.364 0.664
O79 O 0.533 0.666 0.947
O80 O 0.537 0.693 0.054
O81 O 0.539 0.328 0.268
O82 O 0.606 0.827 0.766
O83 O 0.610 0.193 0.554
O84 O 0.614 0.167 0.447
O85 O 0.627 0.862 0.165
O86 O 0.633 0.524 0.223
O87 O 0.635 0.505 0.107
O88 O 0.644 0.864 0.881
O89 O 0.649 0.836 0.492
O90 O 0.651 0.179 0.158
O91 O 0.652 0.528 0.503
O92 O 0.653 0.493 0.828
O93 O 0.656 0.193 0.836
O94 O 0.690 0.606 0.722
O95 O 0.692 0.759 0.272
O96 O 0.700 0.275 0.057
O97 O 0.704 0.090 0.943
O98 O 0.709 0.934 0.387
O99 O 0.710 0.105 0.661
O100 O 0.716 0.604 0.005
O101 O 0.719 0.423 0.613
O102 O 0.721 0.263 0.339
O103 O 0.723 0.753 0.993
O104 O 0.724 0.934 0.665
O105 O 0.725 0.430 0.326
O106 O 0.734 0.089 0.338
O107 O 0.738 0.606 0.328
O108 O 0.739 0.402 0.719
O109 O 0.741 0.283 0.657
O110 O 0.742 0.428 0.002
O111 O 0.742 0.613 0.605
O112 O 0.745 0.746 0.389
O113 O 0.746 0.284 0.939
O114 O 0.747 0.936 0.990
O115 O 0.750 0.957 0.271
O116 O 0.753 0.061 0.059
O117 O 0.764 0.754 0.663
O118 O 0.886 0.059 0.556
O119 O 0.887 0.753 0.168
O120 O 0.893 0.607 0.834
O121 O 0.895 0.090 0.838
O122 O 0.895 0.962 0.768
O123 O 0.899 0.289 0.164
O124 O 0.901 0.749 0.887
O125 O 0.904 0.292 0.440
O126 O 0.904 0.615 0.105
O127 O 0.906 0.933 0.488
O128 O 0.910 0.413 0.221
O129 O 0.914 0.429 0.504
O130 O 0.925 0.928 0.166
O131 O 0.929 0.272 0.839
O132 O 0.929 0.423 0.114
O133 O 0.930 0.099 0.164
O134 O 0.930 0.753 0.490
O135 O 0.931 0.599 0.220
O136 O 0.936 0.422 0.830
O137 O 0.940 0.937 0.885
O138 O 0.941 0.603 0.502
O139 O 0.942 0.753 0.769
O140 O 0.948 0.274 0.559
O141 O 0.954 0.089 0.440
O142 O 0.992 0.836 0.993
O143 O 0.995 0.525 0.006
O144 O 0.998 0.499 0.325

***

> VASP energy of number 1 (Na3Hf3InSi3S3O24)?

-7.31 eV per atom